Record 1
Material: La4DyC10
Method: DFT, PBE
State: optimized geometry

Lattice parameters (Å, degrees): 14.054 13.950 4.277 82.59 79.85 17.57
Element x y z (fractional)
La 0.099 0.099 0.901
La 0.300 0.300 0.700
La 0.700 0.700 0.300
La 0.901 0.901 0.099
Dy 0.500 0.500 0.500
C 0.100 0.300 0.700
C 0.100 0.900 0.100
C 0.300 0.100 0.900
C 0.303 0.502 0.498
C 0.498 0.697 0.303
C 0.502 0.303 0.697
C 0.697 0.498 0.502
C 0.700 0.900 0.100
C 0.900 0.100 0.900
C 0.900 0.700 0.300

## Properties
uncorrected energy	-7.9155	eV per atom
formation energy from the elements	-0.140	eV per atom
symmetry	Fmmm (69)

Record 2
Material: Li2DyPCO7
Method: DFT, PBE
State: optimized geometry

Lattice parameters (Å, degrees): 4.923 6.763 9.140 90.00 93.36 90.00
Element x y z (fractional)
Li 0.200 0.018 0.301
Li 0.200 0.482 0.301
Li 0.800 0.518 0.699
Li 0.800 0.982 0.699
Dy 0.262 0.250 0.866
Dy 0.738 0.750 0.134
P 0.272 0.750 0.905
P 0.728 0.250 0.095
C 0.258 0.250 0.565
C 0.742 0.750 0.435
O 0.027 0.250 0.629
O 0.137 0.564 0.835
O 0.137 0.936 0.835
O 0.239 0.750 0.076
O 0.270 0.250 0.426
O 0.415 0.250 0.110
O 0.479 0.250 0.654
O 0.521 0.750 0.346
O 0.585 0.750 0.890
O 0.730 0.750 0.574
O 0.761 0.250 0.924
O 0.863 0.064 0.165
O 0.863 0.436 0.165
O 0.973 0.750 0.371

## Properties
uncorrected energy	-7.1907	eV per atom
MP2020-corrected energy	-7.5914	eV/atom
formation energy from the elements	-2.783	eV per atom
symmetry	P2_1/m (11)

Record 3
Material: Dy11Mn12C18
Method: DFT, PBE
State: optimized geometry

Lattice parameters (Å, degrees): 8.784 8.784 8.784 109.47 109.47 109.47
Element x y z (fractional)
Dy 0.000 0.000 0.000
Dy 0.000 0.000 0.589
Dy 0.000 0.589 0.000
Dy 0.250 0.500 0.750
Dy 0.250 0.750 0.500
Dy 0.411 0.411 0.411
Dy 0.500 0.250 0.750
Dy 0.500 0.750 0.250
Dy 0.589 0.000 0.000
Dy 0.750 0.250 0.500
Dy 0.750 0.500 0.250
Mn 0.000 0.184 0.340
Mn 0.000 0.340 0.184
Mn 0.156 0.816 0.816
Mn 0.184 0.000 0.340
Mn 0.184 0.340 0.000
Mn 0.340 0.000 0.184
Mn 0.340 0.184 0.000
Mn 0.660 0.660 0.844
Mn 0.660 0.844 0.660
Mn 0.816 0.156 0.816
Mn 0.816 0.816 0.156
Mn 0.844 0.660 0.660
C 0.000 0.296 0.781
C 0.000 0.432 0.432
C 0.000 0.568 0.568
C 0.000 0.781 0.296
C 0.219 0.219 0.515
C 0.219 0.515 0.219
C 0.296 0.000 0.781
C 0.296 0.781 0.000
C 0.432 0.000 0.432
C 0.432 0.432 0.000
C 0.485 0.704 0.704
C 0.515 0.219 0.219
C 0.568 0.000 0.568
C 0.568 0.568 0.000
C 0.704 0.485 0.704
C 0.704 0.704 0.485
C 0.781 0.000 0.296
C 0.781 0.296 0.000

## Properties
uncorrected energy	-8.3091	eV per atom
formation energy from the elements	-0.340	eV per atom
symmetry	I-43m (217)

- Look up the formation energy from the elements of the third one.
  -0.340 eV per atom

- Number 2 is which compound?
  Li2DyPCO7